1.
The following is a r2SCAN calculation of crystalline Sr4Ir at its relaxed geometry, from the Materials Project database.

Values from the calculation:
Calculated volume, Å³ per atom: 48.7
Space-group type: Fd-3m
E_form, kJ/mol of atoms: 18.6

abc: 8.8334 8.8334 8.8334
angles: 60.00 60.00 60.00
Element x y z (fractional)
1 Sr 0.6232 0.6232 0.6232
2 Sr 0.1304 0.6232 0.6232
3 Sr 0.6232 0.1304 0.6232
4 Sr 0.6196 0.1268 0.1268
5 Sr 0.1268 0.1268 0.1268
6 Sr 0.6232 0.6232 0.1304
7 Sr 0.1268 0.6196 0.1268
8 Sr 0.1268 0.1268 0.6196
9 Ir 0.0000 0.0000 0.0000
10 Ir 0.7500 0.7500 0.7500


2.
The following is a r2SCAN calculation of crystalline U2C3 at its relaxed geometry, from the Materials Project database.

Values from the calculation:
Calculated volume, Å³ per atom: 13.2
Space-group type: I-43d
E_form, kJ/mol of atoms: -28.0

abc: 7.0006 7.0006 7.0006
angles: 109.47 109.47 109.47
Element x y z (fractional)
1 U 0.5980 0.5980 0.5980
2 U 0.4020 0.5000 0.0000
3 U 0.5000 0.0000 0.4020
4 U 0.0000 0.4020 0.5000
5 U 0.5000 0.0000 0.9020
6 U 0.0000 0.9020 0.5000
7 U 0.9020 0.5000 0.0000
8 U 0.0980 0.0980 0.0980
9 C 0.7500 0.7861 0.0361
10 C 0.7500 0.9639 0.2139
11 C 0.2861 0.2500 0.5361
12 C 0.5361 0.2861 0.2500
13 C 0.2139 0.7500 0.9639
14 C 0.9639 0.2139 0.7500
15 C 0.2500 0.7139 0.4639
16 C 0.7139 0.4639 0.2500
17 C 0.2500 0.5361 0.2861
18 C 0.4639 0.2500 0.7139
19 C 0.0361 0.7500 0.7861
20 C 0.7861 0.0361 0.7500


3.
The following is a r2SCAN calculation of crystalline Na2Mn2O3 at its relaxed geometry, from the Materials Project database.

Values from the calculation:
Calculated volume, Å³ per atom: 13.6
Space-group type: P2_12_12_1
E_form, kJ/mol of atoms: -169.2

abc: 6.3501 6.3529 9.4214
angles: 90.00 90.00 90.00
Element x y z (fractional)
1 Na 0.5232 0.7359 0.3622
2 Na 0.4768 0.2641 0.8624
3 Na 0.2359 0.9773 0.6100
4 Na 0.7642 0.0227 0.1100
5 Na 0.0231 0.7641 0.8876
6 Na 0.9768 0.2359 0.3878
7 Na 0.2641 0.4773 0.1400
8 Na 0.7358 0.5227 0.6400
9 Mn 0.7411 0.0399 0.6344
10 Mn 0.7589 0.5400 0.1157
11 Mn 0.2589 0.9600 0.1343
12 Mn 0.2411 0.4600 0.6157
13 Mn 0.4601 0.2415 0.3845
14 Mn 0.9601 0.2585 0.8655
15 Mn 0.5398 0.7585 0.8845
16 Mn 0.0399 0.7414 0.3655
17 O 0.1883 0.1893 0.0005
18 O 0.6884 0.3108 0.2495
19 O 0.8117 0.8107 0.5005
20 O 0.3118 0.6893 0.7494
21 O 0.7448 0.0054 0.8551
22 O 0.2552 0.9946 0.3551
23 O 0.2448 0.4946 0.3949
24 O 0.9943 0.2550 0.6447
25 O 0.5057 0.7550 0.1053
26 O 0.4943 0.2449 0.6053
27 O 0.7552 0.5055 0.8949
28 O 0.0056 0.7449 0.1447